! PBE Sr2DyUO6, optimized geometry; values from VASP
&SYSTEM
  ibrav = 0, nat = 10, ntyp = 4
/
ATOMIC_SPECIES
Sr 87.62 Sr.upf
Dy 162.50 Dy.upf
U 238.03 U.upf
O 16.00 O.upf
CELL_PARAMETERS angstrom
0.000 4.352 4.352
4.352 0.000 4.352
4.352 4.352 0.000
ATOMIC_POSITIONS angstrom
Sr 2.176 2.176 2.176
Sr 6.529 6.529 6.529
Dy 0.000 0.000 0.000
U 4.352 4.352 4.352
O 4.352 4.352 2.218
O 4.352 2.218 4.352
O 6.487 4.352 4.352
O 2.218 4.352 4.352
O 4.352 6.487 4.352
O 4.352 4.352 6.487
! Energy of formation: -3.5771 eV per atom
! Total moment: 1.00 μB/f.u.
! Volume: 164.9 Å³/cell
! Space group: Fm-3m, No. 225